# 1
BaSr2N2 | the Materials Project | PBE-GGA | optimized geometry; excess energy over the best structure of this formula in the dataset = 89 meV per atom; corrected total energy (MP2020 scheme) = -4.827 eV/atom; SG = No. 59; size of the total moment = 0.057 μB per cell
1.0
4.0458 0.0000 0.0000
0.0000 15.3685 0.0000
0.0000 0.0000 3.8344
Ba Sr N
2 4 4
direct
0.2500 0.2500 0.0210 Ba
0.7500 0.7500 0.9790 Ba
0.2500 0.5699 0.2615 Sr
0.2500 0.9301 0.2615 Sr
0.7500 0.0699 0.7385 Sr
0.7500 0.4301 0.7385 Sr
0.2500 0.0987 0.3209 N
0.2500 0.4013 0.3209 N
0.7500 0.5987 0.6791 N
0.7500 0.9013 0.6791 N

# 2
Y3Ga7Cu4 | the Materials Project | PBE-GGA | optimized geometry; SG = No. 12
1.0
7.7530 -2.0962 0.0000
7.7530 2.0962 0.0000
-5.6880 0.0000 7.5075
Y Ga Cu
3 7 4
direct
0.0000 0.0000 0.0000 Y
0.3042 0.3042 0.2985 Y
0.6958 0.6958 0.7015 Y
0.0000 0.0000 0.5000 Ga
0.1385 0.1385 0.4185 Ga
0.1408 0.1408 0.8686 Ga
0.3452 0.3452 0.7229 Ga
0.6548 0.6548 0.2771 Ga
0.8592 0.8592 0.1314 Ga
0.8615 0.8615 0.5815 Ga
0.3428 0.3428 0.9819 Cu
0.4986 0.4986 0.6945 Cu
0.5014 0.5014 0.3055 Cu
0.6572 0.6572 0.0181 Cu

# 3
LaYMg6 | the Materials Project | PBE-GGA | optimized geometry; excess energy over the best structure of this formula in the dataset = 24 meV per atom; SG = No. 38; size of the total moment = 0.002 μB per cell
1.0
5.2357 0.0000 0.0000
0.0000 3.5121 5.7014
0.0000 -3.5121 5.7014
La Y Mg
1 1 6
direct
0.0000 0.0000 0.0000 La
0.5000 0.3025 0.3025 Y
0.0000 0.4821 0.4821 Mg
0.0000 0.5138 0.9708 Mg
0.0000 0.9708 0.5138 Mg
0.5000 0.3353 0.7855 Mg
0.5000 0.7855 0.3353 Mg
0.5000 0.8144 0.8144 Mg

# 4
Zn10CrB8Rh18 | the Materials Project | PBE-GGA | optimized geometry; SG = No. 127; size of the total moment = 4.253 μB per cell
1.0
18.0207 0.0000 0.0000
0.0000 18.0207 0.0000
0.0000 0.0000 2.8691
Zn Cr B Rh
20 2 16 36
direct
0.0319 0.1885 0.0000 Zn
0.0500 0.4500 0.0000 Zn
0.1689 0.3311 0.0000 Zn
0.1885 0.9681 0.0000 Zn
0.2092 0.7092 0.0000 Zn
0.2908 0.2092 0.0000 Zn
0.3115 0.4681 0.0000 Zn
0.3311 0.8311 0.0000 Zn
0.4500 0.9500 0.0000 Zn
0.4681 0.6885 0.0000 Zn
0.5319 0.3115 0.0000 Zn
0.5500 0.0500 0.0000 Zn
0.6689 0.1689 0.0000 Zn
0.6885 0.5319 0.0000 Zn
0.7092 0.7908 0.0000 Zn
0.7908 0.2908 0.0000 Zn
0.8115 0.0319 0.0000 Zn
0.8311 0.6689 0.0000 Zn
0.9500 0.5500 0.0000 Zn
0.9681 0.8115 0.0000 Zn
0.0000 0.0000 0.0000 Cr
0.5000 0.5000 0.0000 Cr
0.0389 0.6656 0.0000 B
0.1258 0.8311 0.0000 B
0.1656 0.5389 0.0000 B
0.1689 0.1258 0.0000 B
0.3311 0.6258 0.0000 B
0.3344 0.0389 0.0000 B
0.3742 0.3311 0.0000 B
0.4611 0.1656 0.0000 B
0.5389 0.8344 0.0000 B
0.6258 0.6689 0.0000 B
0.6656 0.9611 0.0000 B
0.6689 0.3742 0.0000 B
0.8311 0.8742 0.0000 B
0.8344 0.4611 0.0000 B
0.8742 0.1689 0.0000 B
0.9611 0.3344 0.0000 B
0.0475 0.3260 0.5000 Rh
0.0662 0.9021 0.5000 Rh
0.0824 0.5824 0.5000 Rh
0.0871 0.7455 0.5000 Rh
0.0979 0.0662 0.5000 Rh
0.1594 0.2107 0.5000 Rh
0.1740 0.4525 0.5000 Rh
0.2107 0.8406 0.5000 Rh
0.2455 0.5871 0.5000 Rh
0.2545 0.0871 0.5000 Rh
0.2893 0.3406 0.5000 Rh
0.3260 0.9525 0.5000 Rh
0.3406 0.7107 0.5000 Rh
0.4021 0.5662 0.5000 Rh
0.4129 0.2455 0.5000 Rh
0.4176 0.0824 0.5000 Rh
0.4338 0.4021 0.5000 Rh
0.4525 0.8260 0.5000 Rh
0.5475 0.1740 0.5000 Rh
0.5662 0.5979 0.5000 Rh
0.5824 0.9176 0.5000 Rh
0.5871 0.7545 0.5000 Rh
0.5979 0.4338 0.5000 Rh
0.6594 0.2893 0.5000 Rh
0.6740 0.0475 0.5000 Rh
0.7107 0.6594 0.5000 Rh
0.7455 0.9129 0.5000 Rh
0.7545 0.4129 0.5000 Rh
0.7893 0.1594 0.5000 Rh
0.8260 0.5475 0.5000 Rh
0.8406 0.7893 0.5000 Rh
0.9021 0.9338 0.5000 Rh
0.9129 0.2545 0.5000 Rh
0.9176 0.4176 0.5000 Rh
0.9338 0.0979 0.5000 Rh
0.9525 0.6740 0.5000 Rh

# 5
CsRb2AlCl6 | the Materials Project | PBE-GGA | optimized geometry; corrected total energy (MP2020 scheme) = -3.891 eV/atom; SG = No. 225; size of the total moment = 0.000 μB per cell
1.0
0.0000 5.5816 5.5816
5.5816 0.0000 5.5816
5.5816 5.5816 0.0000
Cs Rb Al Cl
1 2 1 6
direct
0.0000 0.0000 0.0000 Cs
0.2500 0.2500 0.2500 Rb
0.7500 0.7500 0.7500 Rb
0.5000 0.5000 0.5000 Al
0.2898 0.2898 0.7102 Cl
0.2898 0.7102 0.2898 Cl
0.2898 0.7102 0.7102 Cl
0.7102 0.2898 0.2898 Cl
0.7102 0.2898 0.7102 Cl
0.7102 0.7102 0.2898 Cl

# 6
NaPbN | the Materials Project | PBE-GGA | optimized geometry; corrected total energy (MP2020 scheme) = -4.330 eV/atom; SG = No. 62; size of the total moment = 0.001 μB per cell
1.0
11.5001 0.0000 0.0000
0.0000 3.4879 0.0000
0.0000 0.0000 6.2717
Na Pb N
4 4 4
direct
0.1055 0.2500 0.0039 Na
0.3945 0.7500 0.5039 Na
0.6055 0.2500 0.4961 Na
0.8945 0.7500 0.9961 Na
0.1236 0.2500 0.4816 Pb
0.3764 0.7500 0.9816 Pb
0.6236 0.2500 0.0184 Pb
0.8764 0.7500 0.5184 Pb
0.0383 0.7500 0.2881 N
0.4617 0.2500 0.7881 N
0.5383 0.7500 0.2119 N
0.9617 0.2500 0.7119 N

Asked for E_form across the records above, the calculation gives -0.43; -0.48; -0.08; -0.39; -2.12; 0.13 eV/atom in order.